1.
! GGA+U Ho2VFeO6, optimized geometry; values from VASP
! Energy of formation from the pure elements, eV per atom: -3.0707
! Spin magnetization, μB/atom: 0.70
&SYSTEM
  ibrav = 0, nat = 20, ntyp = 4
/
ATOMIC_SPECIES
Fe 55.84 Fe.upf
O 16.00 O.upf
Ho 164.93 Ho.upf
V 50.94 V.upf
CELL_PARAMETERS angstrom
5.622 0.000 0.000
0.000 5.271 0.000
0.000 5.280 7.572
ATOMIC_POSITIONS angstrom
Fe 0.000 2.640 3.786
Fe 2.811 0.000 0.000
O 1.746 6.881 7.147
O 3.876 3.671 0.425
O 4.509 6.286 7.143
O 4.556 6.311 4.210
O 2.563 4.685 5.689
O 3.058 5.867 1.883
O 1.065 4.241 3.361
O 3.924 3.646 3.357
O 1.698 6.906 4.215
O 1.113 4.266 0.429
O 5.374 8.507 5.669
O 0.247 2.044 1.903
Ho 0.380 5.378 5.685
Ho 3.191 7.814 5.672
Ho 2.431 2.737 1.899
Ho 5.242 5.174 1.886
V 2.811 5.276 3.786
V 0.000 2.635 0.000



2.
! GGA+U CeFe4Cu3O12, optimized geometry; values from VASP
! Energy of formation from the pure elements, eV per atom: -1.6859
! Spin magnetization, μB/atom: 0.95
&SYSTEM
  ibrav = 0, nat = 20, ntyp = 4
/
ATOMIC_SPECIES
Ce 140.12 Ce.upf
O 16.00 O.upf
Fe 55.84 Fe.upf
Cu 63.55 Cu.upf
CELL_PARAMETERS angstrom
-3.747 3.747 3.747
3.747 -3.747 3.747
3.747 3.747 -3.747
ATOMIC_POSITIONS angstrom
Ce 0.000 0.000 0.000
O 2.284 0.000 1.236
O 1.236 5.210 0.000
O -1.463 3.747 2.511
O 1.236 2.284 0.000
O 3.747 2.511 1.463
O 2.511 -1.463 3.747
O 3.747 2.511 -1.463
O 0.000 1.236 5.210
O 2.511 1.463 3.747
O 1.463 3.747 2.511
O 0.000 1.236 2.284
O 5.210 0.000 1.236
Fe -1.873 1.873 1.873
Fe 1.873 -1.873 1.873
Fe 1.873 1.873 -1.873
Fe 1.873 1.873 1.873
Cu 3.747 0.000 0.000
Cu 0.000 3.747 0.000
Cu 0.000 0.000 3.747



3.
! GGA+U Li19Mn4P8O35F, optimized geometry; values from VASP
! Energy of formation from the pure elements, eV per atom: -2.5971
! Spin magnetization, μB/atom: 0.24
&SYSTEM
  ibrav = 0, nat = 67, ntyp = 5
/
ATOMIC_SPECIES
O 16.00 O.upf
P 30.97 P.upf
Li 6.94 Li.upf
Mn 54.94 Mn.upf
F 19.00 F.upf
CELL_PARAMETERS angstrom
6.782 0.000 0.000
3.375 10.099 0.000
3.390 0.291 10.228
ATOMIC_POSITIONS angstrom
O 8.293 4.299 6.157
O 5.066 4.530 0.633
O 8.455 8.576 1.946
O 2.976 5.548 2.081
O 9.759 4.838 8.129
O 6.385 9.983 7.190
O 8.463 9.409 9.373
O 5.099 7.139 6.614
O 8.478 0.804 4.510
O 5.256 6.249 4.172
O 7.185 5.490 1.961
O 10.572 9.947 7.160
O 8.453 3.633 3.170
O 5.101 3.225 3.608
O 5.065 5.845 9.580
O 9.746 7.364 9.871
O 1.691 0.964 0.835
O 8.288 6.083 4.048
O 6.334 8.369 4.733
O 7.157 7.380 9.903
O 8.467 1.785 8.257
O 7.165 2.996 0.311
O 3.787 2.144 5.540
O 2.974 3.011 0.344
O 7.190 4.888 8.250
O 11.848 9.491 9.238
O 6.386 0.383 3.020
O 3.807 0.418 3.028
O 10.561 8.226 4.694
O 5.238 4.133 6.048
O 5.090 0.860 0.954
O 8.447 6.749 7.036
O 6.345 2.029 5.508
O 5.089 2.187 8.651
O 5.080 8.196 1.562
P 8.443 5.220 7.374
P 8.482 0.256 7.958
P 5.071 7.857 0.039
P 8.463 10.107 2.243
P 5.103 2.920 5.130
P 5.078 2.520 10.177
P 8.442 5.159 2.832
P 5.096 7.453 5.096
Li 8.466 2.859 10.154
Li 5.016 5.007 2.613
Li 8.593 7.494 5.243
Li 5.078 10.075 2.497
Li 10.180 7.833 7.820
Li 5.088 0.358 7.779
Li 6.785 2.963 7.486
Li 10.137 10.091 0.004
Li 3.374 7.491 2.655
Li 6.770 5.189 5.116
Li 8.565 2.829 4.969
Li 6.753 7.822 7.810
Li 6.779 2.549 2.443
Li 8.460 7.511 0.075
Li 5.009 5.365 7.603
Li 3.385 2.543 2.438
Li 6.777 7.423 2.720
Li 10.163 2.897 7.546
Li 6.786 10.092 0.004
Mn 10.151 5.327 10.205
Mn 10.242 10.239 5.077
Mn 3.371 5.047 0.008
Mn 3.320 0.185 5.097
F 8.473 9.596 5.639



4.
! GGA+U Li9Mn2Co5O16, optimized geometry; values from VASP
! Energy of formation from the pure elements, eV per atom: -1.7578
! Spin magnetization, μB/atom: 0.00
&SYSTEM
  ibrav = 0, nat = 32, ntyp = 4
/
ATOMIC_SPECIES
Li 6.94 Li.upf
O 16.00 O.upf
Co 58.93 Co.upf
Mn 54.94 Mn.upf
CELL_PARAMETERS angstrom
-1.915 -3.010 3.686
-4.929 -4.930 -3.255
5.004 -5.881 -1.050
ATOMIC_POSITIONS angstrom
Li 0.328 -4.995 0.744
Li -2.181 -3.411 0.746
Li 0.196 -7.662 -0.322
Li 2.795 -6.567 0.779
Li -4.629 -7.281 -1.410
Li -2.080 -6.163 -0.309
Li 0.336 -10.387 -1.367
Li 0.007 -5.402 -2.154
Li -2.124 -8.828 -1.350
O -3.401 -7.838 0.186
O -1.195 -4.321 -0.795
O -3.379 -5.211 1.231
O -0.730 -12.229 -0.879
O -0.786 -6.633 1.260
O -1.096 -7.171 -1.842
O -3.579 -5.420 -1.896
O -3.260 -10.578 -0.924
O -0.769 -9.532 0.120
O -0.927 -9.816 -2.996
O -0.996 -1.627 0.264
O -0.874 -3.979 2.339
O 1.796 -8.348 1.279
O 1.492 -8.714 -1.864
O 1.555 -5.963 -0.760
O 1.411 -3.235 0.312
Co 0.065 -8.025 -3.171
Co 0.586 -7.287 2.611
Co -2.387 -6.531 -3.209
Co 2.481 -6.952 -2.117
Co -1.871 -5.780 2.545
Mn -1.896 -3.018 3.663
Mn -2.448 -3.826 -2.147



5.
! GGA+U MgVSbO4, optimized geometry; values from VASP
! Energy of formation from the pure elements, eV per atom: -2.0790
! Spin magnetization, μB/atom: 0.29
&SYSTEM
  ibrav = 0, nat = 7, ntyp = 4
/
ATOMIC_SPECIES
V 50.94 V.upf
Sb 121.76 Sb.upf
O 16.00 O.upf
Mg 24.30 Mg.upf
CELL_PARAMETERS angstrom
-2.205 -0.890 2.053
-2.636 -2.762 -4.028
3.582 -3.557 2.305
ATOMIC_POSITIONS angstrom
V -2.488 -2.781 -3.878
Sb -1.214 -3.530 -0.430
O 0.828 -4.395 -1.016
O -2.713 -3.338 -1.957
O 0.464 -1.968 -0.354
O 1.538 -3.882 2.372
Mg 1.776 -3.326 0.466



6.
! GGA+U Li10Co3Ni7O20, optimized geometry; values from VASP
! Energy of formation from the pure elements, eV per atom: -1.5321
! Spin magnetization, μB/atom: 0.43
&SYSTEM
  ibrav = 0, nat = 40, ntyp = 4
/
ATOMIC_SPECIES
O 16.00 O.upf
Ni 58.69 Ni.upf
Li 6.94 Li.upf
Co 58.93 Co.upf
CELL_PARAMETERS angstrom
1.419 11.351 0.000
-1.419 11.351 0.000
0.000 4.491 10.762
ATOMIC_POSITIONS angstrom
O 0.000 18.223 0.102
O 0.000 20.517 5.637
O 0.000 15.295 4.497
O 0.000 16.713 7.436
O 0.000 11.898 6.266
O 0.000 10.480 3.327
O 0.000 9.485 0.948
O 0.000 2.785 6.542
O 0.000 5.481 2.307
O 0.000 7.587 7.860
O 0.000 24.409 4.221
O 0.000 12.761 8.749
O 0.000 17.708 9.814
O 0.000 8.970 10.661
O 0.000 19.606 2.902
O 0.000 23.083 1.413
O 0.000 4.110 9.349
O 0.000 6.676 5.125
O 0.000 14.432 2.014
O 0.000 21.712 8.455
Ni 0.000 10.850 9.668
Ni 0.000 8.612 4.328
Ni 0.000 3.554 3.231
Ni 0.000 18.581 6.435
Ni 0.000 11.351 0.000
Ni 0.000 16.344 1.095
Ni 0.000 23.639 7.531
Li 0.000 12.459 2.719
Li 0.000 19.708 9.152
Li 0.000 22.448 4.853
Li 0.000 2.516 0.561
Li 0.000 9.725 6.984
Li 0.000 17.469 3.779
Li 0.000 24.677 10.202
Li 0.000 4.746 5.909
Li 0.000 7.486 1.611
Li 0.000 14.734 8.044
Co 0.000 21.337 2.142
Co 0.000 13.597 5.381
Co 0.000 5.856 8.621



7.
! GGA+U Li9Mn7O16, optimized geometry; values from VASP
! Energy of formation from the pure elements, eV per atom: -2.1378
! Spin magnetization, μB/atom: 0.81
&SYSTEM
  ibrav = 0, nat = 32, ntyp = 3
/
ATOMIC_SPECIES
O 16.00 O.upf
Li 6.94 Li.upf
Mn 54.94 Mn.upf
CELL_PARAMETERS angstrom
-4.371 -0.465 -2.572
2.955 -3.957 -1.295
-4.226 -5.829 9.678
ATOMIC_POSITIONS angstrom
O -3.185 -2.015 -1.120
O -2.078 -4.887 -0.722
O -3.138 -6.321 1.984
O -2.504 -3.929 3.827
O -0.303 -0.987 -0.804
O -1.472 -6.851 4.513
O 0.641 -3.965 -0.377
O -3.563 -5.364 6.534
O -0.423 -5.389 2.057
O -4.169 -3.399 1.298
O -6.283 -6.286 6.188
O -5.218 -4.861 3.755
O -2.457 -8.236 6.932
O -1.431 -2.468 1.335
O -5.338 -9.264 6.615
O -4.210 -7.782 4.477
Li -1.241 -2.895 -0.761
Li -2.292 -4.389 1.739
Li -2.185 -0.233 -1.286
Li -4.401 -7.355 6.572
Li -0.635 -4.893 4.192
Li -3.349 -5.862 4.072
Li 0.437 -3.411 1.676
Li 1.478 -1.978 -0.647
Li -6.079 -6.839 4.136
Mn -1.584 -2.189 3.576
Mn -0.493 -0.745 1.117
Mn -4.298 -3.147 3.553
Mn -4.057 -8.062 2.235
Mn -5.149 -9.505 4.694
Mn -2.429 -8.563 4.807
Mn -3.212 -1.688 1.005



8.
! GGA+U MgCr3InO8, optimized geometry; values from VASP
! Energy of formation from the pure elements, eV per atom: -2.0542
! Spin magnetization, μB/atom: 0.54
&SYSTEM
  ibrav = 0, nat = 13, ntyp = 4
/
ATOMIC_SPECIES
O 16.00 O.upf
Cr 52.00 Cr.upf
In 114.82 In.upf
Mg 24.30 Mg.upf
CELL_PARAMETERS angstrom
5.278 0.078 0.030
2.107 4.834 0.026
0.037 0.019 6.424
ATOMIC_POSITIONS angstrom
O 5.632 3.732 0.306
O 1.827 1.206 6.282
O 4.339 1.117 4.715
O 2.993 3.681 1.723
O 5.769 3.810 3.104
O 2.707 3.569 4.711
O 4.538 1.349 1.731
O 1.687 1.112 3.346
Cr 2.648 1.761 4.753
Cr 4.861 3.243 1.769
Cr 7.375 4.910 3.269
In 5.303 0.098 6.407
Mg 2.493 1.681 1.633



9.
! GGA+U Li2NiSnO4, optimized geometry; values from VASP
! Energy of formation from the pure elements, eV per atom: -1.9607
! Spin magnetization, μB/atom: 0.00
&SYSTEM
  ibrav = 0, nat = 32, ntyp = 4
/
ATOMIC_SPECIES
Ni 58.69 Ni.upf
O 16.00 O.upf
Sn 118.71 Sn.upf
Li 6.94 Li.upf
CELL_PARAMETERS angstrom
-5.214 -2.170 2.272
-5.214 2.849 -1.422
2.297 -6.033 -8.265
ATOMIC_POSITIONS angstrom
Ni -3.491 -2.931 -6.697
Ni -4.640 -2.424 -0.719
Ni -6.671 -3.761 -2.570
Ni -0.313 -7.117 -7.129
O -3.095 -0.774 -3.756
O -2.538 -3.422 -4.863
O 0.770 -5.287 -7.110
O -5.592 -1.931 -2.552
O -4.458 -4.820 -6.797
O -5.036 -4.579 -3.659
O -3.098 -3.282 -1.907
O -6.184 0.946 -1.374
O -5.033 -2.072 -5.508
O -6.181 -1.564 0.472
O -1.947 -6.300 -6.041
O -8.901 -0.066 -0.305
O -7.739 -3.211 -4.325
O -1.949 -3.790 -7.887
O -3.673 -0.533 -0.617
O -0.392 -2.143 -3.090
Sn -2.917 -5.693 -7.840
Sn -4.065 -0.168 -5.555
Sn -4.065 -2.677 -3.707
Sn -8.131 -5.354 -7.415
Li -3.491 -5.440 -4.850
Li -4.640 0.086 -2.565
Li -6.672 -1.252 -4.418
Li -7.247 -0.999 -1.429
Li -2.033 -1.338 -1.854
Li -0.884 -4.355 -5.986
Li -2.607 1.424 -0.711
Li -6.098 -4.015 -5.561



10.
! GGA+U LiMn3B3O9, optimized geometry; values from VASP
! Energy of formation from the pure elements, eV per atom: -2.4049
! Spin magnetization, μB/atom: 0.81
&SYSTEM
  ibrav = 0, nat = 32, ntyp = 4
/
ATOMIC_SPECIES
O 16.00 O.upf
Mn 54.94 Mn.upf
B 10.81 B.upf
Li 6.94 Li.upf
CELL_PARAMETERS angstrom
-5.141 0.922 2.485
4.361 -2.450 6.395
2.789 8.268 -2.826
ATOMIC_POSITIONS angstrom
O -2.952 2.400 1.829
O 2.803 2.773 4.521
O 2.628 6.205 2.708
O 2.750 4.299 1.260
O 2.891 -1.731 6.396
O 1.609 0.742 5.056
O 1.410 2.694 6.444
O 0.829 5.611 4.569
O -1.975 0.435 5.311
O 0.599 4.046 -0.390
O -0.741 2.441 4.794
O 0.400 5.998 0.998
O 1.180 1.129 1.485
O -0.619 0.535 3.346
O -0.794 3.966 1.533
O 3.983 6.305 0.743
O 4.961 4.340 4.225
O -0.882 8.471 -0.342
Mn 0.668 6.584 2.874
Mn 1.340 0.156 3.180
Mn 4.652 2.281 4.047
Mn -0.806 1.864 1.551
Mn -2.643 4.459 2.007
Mn 2.814 4.876 4.503
B -1.087 1.164 4.526
B 1.926 2.035 5.309
B 3.096 5.576 1.528
B -3.556 1.525 2.734
B 0.083 4.705 0.746
B 5.565 5.215 3.321
Li 1.251 -0.693 6.276
Li 0.758 7.433 -0.222



11.
! GGA+U PbWO4, optimized geometry; values from VASP
! Energy of formation from the pure elements, eV per atom: -1.8052
! Spin magnetization, μB/atom: 0.00
&SYSTEM
  ibrav = 0, nat = 24, ntyp = 3
/
ATOMIC_SPECIES
O 16.00 O.upf
W 183.84 W.upf
Pb 207.20 Pb.upf
CELL_PARAMETERS angstrom
4.023 -7.117 0.000
4.023 7.117 0.000
0.000 0.000 5.543
ATOMIC_POSITIONS angstrom
O 6.035 -1.861 1.386
O 1.144 0.000 0.000
O 4.023 -5.854 2.508
O 5.168 0.000 2.771
O 2.012 -1.861 1.386
O 4.023 5.854 3.034
O 6.035 1.861 4.157
O 4.023 4.350 0.178
O 4.023 2.767 2.950
O 4.023 -4.350 5.364
O 2.879 0.000 2.771
O 4.023 -2.767 2.593
O 4.023 -1.263 5.280
O 4.023 1.263 0.263
O 6.903 0.000 0.000
O 2.012 1.861 4.157
W 4.023 -1.220 1.611
W 4.023 5.897 1.161
W 4.023 -5.897 4.382
W 4.023 1.220 3.932
Pb 6.035 -2.299 4.157
Pb 2.012 2.299 1.386
Pb 6.035 2.299 1.386
Pb 2.012 -2.299 4.157



> Which formula does entry 4 have?

Li9Mn2Co5O16